a:
## LiCu5P2O8 (PBE-GGA)

Data for a geometry-optimized LiCu5P2O8 structure.

a = 5.621 Å, b = 6.233 Å, c = 10.301 Å
α = 89.48°, β = 88.27°, γ = 88.20°
Atoms (fractional coordinates):
Li 0.000 0.000 0.000
Li 0.450 0.760 0.496
Cu 0.054 0.269 0.259
Cu 0.057 0.254 0.746
Cu 0.566 0.751 0.013
Cu 0.643 0.973 0.233
Cu 0.676 0.519 0.230
Cu 0.683 0.490 0.743
Cu 0.688 0.030 0.732
Cu 0.945 0.454 0.520
Cu 0.959 0.511 0.016
Cu 0.960 0.043 0.520
P 0.143 0.763 0.246
P 0.164 0.757 0.745
P 0.468 0.244 0.983
P 0.485 0.261 0.479
O 0.007 0.569 0.307
O 0.026 0.953 0.811
O 0.032 0.558 0.804
O 0.142 0.764 0.596
O 0.155 0.753 0.096
O 0.212 0.235 0.039
O 0.229 0.263 0.539
O 0.393 0.763 0.306
O 0.428 0.753 0.785
O 0.469 0.253 0.832
O 0.488 0.262 0.330
O 0.594 0.445 0.036
O 0.599 0.469 0.531
O 0.603 0.046 0.531
O 0.632 0.050 0.029
O 0.996 0.968 0.292

Results
- crystal system = triclinic
- symmetry = P1 (1)
- magnetic moment (μB/f.u.) = 0.00


b:
## LiCu5P2O8 (PBE-GGA)

Data for a geometry-optimized LiCu5P2O8 structure.

a = 5.523 Å, b = 6.257 Å, c = 10.477 Å
α = 90.06°, β = 90.03°, γ = 90.01°
Atoms (fractional coordinates):
Li 0.000 0.000 0.000
Li 0.350 0.500 0.248
Cu 0.005 0.509 0.000
Cu 0.018 0.994 0.499
Cu 0.025 0.502 0.504
Cu 0.330 0.006 0.248
Cu 0.333 0.496 0.752
Cu 0.340 0.007 0.755
Cu 0.473 0.255 0.502
Cu 0.478 0.247 0.997
Cu 0.871 0.746 0.751
Cu 0.877 0.756 0.247
P 0.503 0.753 0.006
P 0.506 0.747 0.498
P 0.846 0.255 0.249
P 0.847 0.245 0.755
O 0.353 0.952 0.956
O 0.371 0.548 0.438
O 0.374 0.546 0.951
O 0.374 0.955 0.447
O 0.493 0.745 0.154
O 0.500 0.743 0.646
O 0.580 0.266 0.200
O 0.586 0.245 0.701
O 0.767 0.765 0.956
O 0.769 0.747 0.446
O 0.852 0.246 0.397
O 0.856 0.243 0.903
O 0.974 0.052 0.188
O 0.977 0.450 0.701
O 0.982 0.041 0.702
O 0.996 0.456 0.202

Results
- crystal system = triclinic
- symmetry = P1 (1)
- magnetic moment (μB/f.u.) = 0.00


c:
## LiCu5P2O8 (PBE-GGA)

Data for a geometry-optimized LiCu5P2O8 structure.

a = 5.567 Å, b = 6.232 Å, c = 10.418 Å
α = 89.78°, β = 89.38°, γ = 89.61°
Atoms (fractional coordinates):
Li 0.000 0.000 0.000
Li 0.480 0.745 0.999
Cu 0.099 0.253 0.248
Cu 0.104 0.241 0.748
Cu 0.556 0.745 0.502
Cu 0.675 0.004 0.239
Cu 0.675 0.511 0.745
Cu 0.684 0.987 0.740
Cu 0.687 0.482 0.240
Cu 0.979 0.463 0.012
Cu 0.980 0.989 0.499
Cu 0.981 0.498 0.498
P 0.162 0.746 0.753
P 0.169 0.751 0.239
P 0.488 0.247 0.492
P 0.501 0.239 0.991
O 0.024 0.542 0.803
O 0.024 0.944 0.812
O 0.031 0.952 0.293
O 0.033 0.552 0.297
O 0.159 0.750 0.091
O 0.168 0.753 0.605
O 0.229 0.249 0.548
O 0.238 0.232 0.043
O 0.418 0.743 0.811
O 0.430 0.748 0.289
O 0.490 0.247 0.344
O 0.503 0.242 0.842
O 0.620 0.453 0.041
O 0.623 0.044 0.545
O 0.627 0.446 0.545
O 0.642 0.037 0.040

Results
- crystal system = triclinic
- symmetry = P1 (1)
- magnetic moment (μB/f.u.) = 0.00


d:
## LiCu5P2O8 (PBE-GGA)

Data for a geometry-optimized LiCu5P2O8 structure.

a = 5.152 Å, b = 5.552 Å, c = 6.283 Å
α = 87.95°, β = 89.41°, γ = 88.99°
Atoms (fractional coordinates):
Li 0.000 0.000 0.000
Cu 0.029 0.580 0.746
Cu 0.030 0.969 0.511
Cu 0.473 0.676 0.000
Cu 0.485 0.071 0.257
Cu 0.494 0.684 0.509
P 0.502 0.157 0.757
P 0.976 0.478 0.244
O 0.073 0.636 0.046
O 0.086 0.217 0.234
O 0.090 0.604 0.441
O 0.201 0.143 0.760
O 0.597 0.420 0.754
O 0.618 0.027 0.558
O 0.620 0.019 0.958
O 0.675 0.482 0.252

Results
- crystal system = triclinic
- symmetry = P1 (1)
- magnetic moment (μB/f.u.) = 0.00


Compare the structures above. Which one is the least stable? b is.